1.
Compound: InTe
Source: Materials Project
Functional: PBE
Structure: optimized geometry

Output
Space-group type   No. 225
Energy relative to the elements   -0.500 eV per atom
Energy with MP2020 corrections   -3.447 eV/atom

abc: 4.444 4.444 4.444
angles: 60.00 60.00 60.00
Element x y z (fractional)
In 0.000 0.000 0.000
Te 0.500 0.500 0.500

2.
Compound: In2Te5
Source: Materials Project
Functional: PBE
Structure: optimized geometry

Output
Space-group type   No. 9
Maximum piezoelectric response   1.668 C/m²
Energy relative to the elements   -0.520 eV per atom
Energy with MP2020 corrections   -3.552 eV/atom

abc: 8.862 8.862 14.048
angles: 90.38 90.38 151.40
Element x y z (fractional)
In 0.003 0.997 0.500
In 0.370 0.597 0.334
In 0.597 0.370 0.834
In 0.997 0.003 0.000
Te 0.180 0.870 0.559
Te 0.230 0.768 0.267
Te 0.294 0.684 0.912
Te 0.402 0.608 0.541
Te 0.608 0.402 0.041
Te 0.684 0.294 0.412
Te 0.768 0.230 0.767
Te 0.870 0.180 0.059
Te 0.972 0.993 0.292
Te 0.993 0.972 0.792

3.
Compound: In2Te3
Source: Materials Project
Functional: PBE
Structure: optimized geometry

Output
Space-group type   No. 156
Energy relative to the elements   -0.344 eV per atom
Energy with MP2020 corrections   -3.331 eV/atom

abc: 4.567 4.567 10.641
angles: 90.00 90.00 120.00
Element x y z (fractional)
In 0.000 0.000 0.000
In 0.333 0.667 0.588
Te 0.000 0.000 0.253
Te 0.333 0.667 0.868
Te 0.667 0.333 0.469

4.
Compound: In2Te3
Source: Materials Project
Functional: PBE
Structure: optimized geometry

Output
Space-group type   No. 216
Energy relative to the elements   -0.515 eV per atom
Energy with MP2020 corrections   -3.502 eV/atom

abc: 13.417 13.417 13.417
angles: 60.00 60.00 60.00
Element x y z (fractional)
In 0.155 0.504 0.504
In 0.155 0.504 0.838
In 0.155 0.838 0.504
In 0.169 0.169 0.831
In 0.169 0.831 0.169
In 0.169 0.831 0.831
In 0.504 0.155 0.504
In 0.504 0.155 0.838
In 0.504 0.504 0.155
In 0.504 0.504 0.838
In 0.504 0.838 0.155
In 0.504 0.838 0.504
In 0.831 0.169 0.169
In 0.831 0.169 0.831
In 0.831 0.831 0.169
In 0.838 0.155 0.504
In 0.838 0.504 0.155
In 0.838 0.504 0.504
Te 0.242 0.242 0.569
Te 0.242 0.242 0.947
Te 0.242 0.569 0.242
Te 0.242 0.569 0.947
Te 0.242 0.947 0.242
Te 0.242 0.947 0.569
Te 0.250 0.250 0.250
Te 0.272 0.576 0.576
Te 0.279 0.907 0.907
Te 0.569 0.242 0.242
Te 0.569 0.242 0.947
Te 0.569 0.947 0.242
Te 0.576 0.272 0.576
Te 0.576 0.576 0.272
Te 0.576 0.576 0.576
Te 0.598 0.598 0.902
Te 0.598 0.902 0.598
Te 0.598 0.902 0.902
Te 0.902 0.598 0.598
Te 0.902 0.598 0.902
Te 0.902 0.902 0.598
Te 0.907 0.279 0.907
Te 0.907 0.907 0.279
Te 0.907 0.907 0.907
Te 0.947 0.242 0.242
Te 0.947 0.242 0.569
Te 0.947 0.569 0.242

5.
Compound: In2Te3
Source: Materials Project
Functional: PBE
Structure: optimized geometry

Output
Space-group type   No. 44
Energy relative to the elements   -0.553 eV per atom
Energy with MP2020 corrections   -3.539 eV/atom

abc: 7.771 7.771 7.771
angles: 146.54 60.67 130.97
Element x y z (fractional)
In 0.161 0.000 0.161
In 0.839 0.000 0.839
Te 0.131 0.783 0.348
Te 0.436 0.783 0.652
Te 0.733 0.733 0.000

6.
Compound: InTe
Source: Materials Project
Functional: PBE
Structure: optimized geometry

Output
Space-group type   No. 221
Energy relative to the elements   -0.282 eV per atom
Energy with MP2020 corrections   -3.229 eV/atom

abc: 3.882 3.882 3.882
angles: 90.00 90.00 90.00
Element x y z (fractional)
In 0.000 0.000 0.000
Te 0.500 0.500 0.500

7.
Compound: In2Te3
Source: Materials Project
Functional: PBE
Structure: optimized geometry

Output
Space-group type   No. 107
Energy relative to the elements   -0.250 eV per atom
Energy with MP2020 corrections   -3.236 eV/atom

abc: 10.071 10.071 10.071
angles: 98.29 98.29 135.37
Element x y z (fractional)
In 0.000 0.177 0.177
In 0.000 0.823 0.823
In 0.024 0.524 0.500
In 0.177 0.000 0.177
In 0.524 0.024 0.500
In 0.823 0.000 0.823
Te 0.263 0.599 0.336
Te 0.263 0.927 0.664
Te 0.585 0.585 0.672
Te 0.585 0.913 0.000
Te 0.599 0.263 0.336
Te 0.677 0.677 0.000
Te 0.913 0.585 0.000
Te 0.913 0.913 0.328
Te 0.927 0.263 0.664

8.
Compound: In3Te4
Source: Materials Project
Functional: PBE
Structure: optimized geometry

Output
Space-group type   No. 166
Energy relative to the elements   -0.481 eV per atom
Energy with MP2020 corrections   -3.457 eV/atom

abc: 14.071 14.071 14.071
angles: 17.74 17.74 17.74
Element x y z (fractional)
In 0.000 0.000 0.000
In 0.427 0.427 0.427
In 0.573 0.573 0.573
Te 0.129 0.129 0.129
Te 0.291 0.291 0.291
Te 0.709 0.709 0.709
Te 0.871 0.871 0.871

9.
Compound: In2Te5
Source: Materials Project
Functional: PBE
Structure: optimized geometry

Output
Space-group type   No. 15
Energy relative to the elements   -0.521 eV per atom
Energy with MP2020 corrections   -3.553 eV/atom

abc: 8.918 8.918 42.482
angles: 100.16 100.16 28.43
Element x y z (fractional)
In 0.052 0.936 0.556
In 0.064 0.948 0.944
In 0.175 0.419 0.222
In 0.308 0.421 0.389
In 0.419 0.175 0.722
In 0.421 0.308 0.889
In 0.579 0.692 0.111
In 0.581 0.825 0.278
In 0.692 0.579 0.611
In 0.825 0.581 0.778
In 0.936 0.052 0.056
In 0.948 0.064 0.444
Te 0.015 0.905 0.874
Te 0.095 0.985 0.626
Te 0.134 0.866 0.750
Te 0.139 0.193 0.468
Te 0.174 0.229 0.369
Te 0.193 0.139 0.968
Te 0.194 0.431 0.292
Te 0.229 0.174 0.869
Te 0.245 0.385 0.081
Te 0.355 0.466 0.459
Te 0.358 0.519 0.200
Te 0.385 0.245 0.581
Te 0.431 0.194 0.792
Te 0.466 0.355 0.959
Te 0.481 0.642 0.300
Te 0.519 0.358 0.700
Te 0.534 0.645 0.041
Te 0.569 0.806 0.208
Te 0.615 0.755 0.419
Te 0.642 0.481 0.800
Te 0.645 0.534 0.541
Te 0.755 0.615 0.919
Te 0.771 0.826 0.131
Te 0.806 0.569 0.708
Te 0.807 0.861 0.032
Te 0.826 0.771 0.631
Te 0.861 0.807 0.532
Te 0.866 0.134 0.250
Te 0.905 0.015 0.374
Te 0.985 0.095 0.126

10.
Compound: InTe
Source: Materials Project
Functional: PBE
Structure: optimized geometry

Output
Space-group type   No. 140
Energy relative to the elements   -0.488 eV per atom
Energy with MP2020 corrections   -3.435 eV/atom

abc: 7.090 7.090 7.090
angles: 105.05 105.05 118.72
Element x y z (fractional)
In 0.250 0.250 0.000
In 0.250 0.750 0.500
In 0.750 0.250 0.500
In 0.750 0.750 0.000
Te 0.182 0.682 0.864
Te 0.318 0.182 0.500
Te 0.682 0.818 0.500
Te 0.818 0.318 0.136

11.
Compound: TlInTe2
Source: Materials Project
Functional: PBE
Structure: optimized geometry

Output
Space-group type   No. 140
Energy relative to the elements   -0.575 eV per atom
Energy with MP2020 corrections   -3.425 eV/atom

abc: 7.160 7.160 7.160
angles: 105.20 105.20 118.41
Element x y z (fractional)
Tl 0.250 0.250 0.000
Tl 0.750 0.750 0.000
In 0.250 0.750 0.500
In 0.750 0.250 0.500
Te 0.179 0.679 0.858
Te 0.321 0.179 0.500
Te 0.679 0.821 0.500
Te 0.821 0.321 0.142

12.
Compound: ThIn3
Source: Materials Project
Functional: PBE
Structure: optimized geometry

Output
Space-group type   No. 221
Energy relative to the elements   -0.343 eV per atom

abc: 4.750 4.750 4.750
angles: 90.00 90.00 90.00
Element x y z (fractional)
Th 0.000 0.000 0.000
In 0.000 0.500 0.500
In 0.500 0.000 0.500
In 0.500 0.500 0.000

13.
Compound: Th3In5
Source: Materials Project
Functional: PBE
Structure: optimized geometry

Output
Space-group type   No. 63
Energy relative to the elements   -0.344 eV per atom

abc: 6.640 6.640 10.465
angles: 90.00 90.00 77.67
Element x y z (fractional)
Th 0.132 0.868 0.750
Th 0.294 0.294 0.000
Th 0.294 0.294 0.500
Th 0.706 0.706 0.000
Th 0.706 0.706 0.500
Th 0.868 0.132 0.250
In 0.006 0.576 0.250
In 0.191 0.809 0.051
In 0.191 0.809 0.449
In 0.424 0.994 0.250
In 0.483 0.517 0.250
In 0.517 0.483 0.750
In 0.576 0.006 0.750
In 0.809 0.191 0.551
In 0.809 0.191 0.949
In 0.994 0.424 0.750

14.
Compound: ThIn
Source: Materials Project
Functional: PBE
Structure: optimized geometry

Output
Space-group type   No. 123
Energy relative to the elements   -0.289 eV per atom

abc: 3.509 3.509 4.660
angles: 90.00 90.00 90.00
Element x y z (fractional)
Th 0.000 0.000 0.000
In 0.500 0.500 0.500

15.
Compound: Th2In
Source: Materials Project
Functional: PBE
Structure: optimized geometry

Output
Space-group type   No. 140
Energy relative to the elements   -0.176 eV per atom

abc: 6.306 6.306 6.306
angles: 103.19 103.19 122.94
Element x y z (fractional)
Th 0.153 0.653 0.805
Th 0.347 0.153 0.500
Th 0.653 0.847 0.500
Th 0.847 0.347 0.195
In 0.250 0.250 0.000
In 0.750 0.750 0.000

16.
Compound: Ti3In4
Source: Materials Project
Functional: PBE
Structure: optimized geometry

Output
Space-group type   No. 127
Energy relative to the elements   -0.030 eV per atom

abc: 9.994 9.994 2.989
angles: 90.00 90.00 90.00
Element x y z (fractional)
Ti 0.000 0.500 0.000
Ti 0.176 0.324 0.500
Ti 0.324 0.824 0.500
Ti 0.500 0.000 0.000
Ti 0.676 0.176 0.500
Ti 0.824 0.676 0.500
In 0.059 0.788 0.000
In 0.212 0.059 0.000
In 0.288 0.559 0.000
In 0.441 0.288 0.000
In 0.559 0.712 0.000
In 0.712 0.441 0.000
In 0.788 0.941 0.000
In 0.941 0.212 0.000

17.
Compound: Ti3In
Source: Materials Project
Functional: PBE
Structure: optimized geometry

Output
Space-group type   No. 139
Energy relative to the elements   -0.122 eV per atom

abc: 5.238 5.238 5.238
angles: 134.05 134.05 67.01
Element x y z (fractional)
Ti 0.000 0.000 0.000
Ti 0.250 0.750 0.500
Ti 0.750 0.250 0.500
In 0.500 0.500 0.000

18.
Compound: Ti3In
Source: Materials Project
Functional: PBE
Structure: optimized geometry

Output
Space-group type   No. 221
Energy relative to the elements   -0.118 eV per atom

abc: 4.177 4.177 4.177
angles: 90.00 90.00 90.00
Element x y z (fractional)
Ti 0.000 0.000 0.500
Ti 0.000 0.500 0.000
Ti 0.500 0.000 0.000
In 0.500 0.500 0.500

19.
Compound: Ti3In
Source: Materials Project
Functional: PBE
Structure: optimized geometry

Output
Space-group type   No. 194
Energy relative to the elements   -0.127 eV per atom

abc: 5.927 5.927 4.791
angles: 90.00 90.00 120.00
Element x y z (fractional)
Ti 0.164 0.329 0.250
Ti 0.164 0.836 0.250
Ti 0.329 0.164 0.750
Ti 0.671 0.836 0.250
Ti 0.836 0.164 0.750
Ti 0.836 0.671 0.750
In 0.333 0.667 0.750
In 0.667 0.333 0.250

20.
Compound: Ti3In
Source: Materials Project
Functional: PBE
Structure: optimized geometry

Output
Space-group type   No. 225
Energy relative to the elements   -0.032 eV per atom

abc: 4.697 4.697 4.697
angles: 60.00 60.00 60.00
Element x y z (fractional)
Ti 0.000 0.000 0.000
Ti 0.250 0.250 0.250
Ti 0.750 0.750 0.750
In 0.500 0.500 0.500

21.
Compound: TlIn
Source: Materials Project
Functional: PBE
Structure: optimized geometry

Output
Space-group type   No. 166
Energy relative to the elements   0.037 eV per atom

abc: 5.926 5.926 5.926
angles: 34.00 34.00 34.00
Element x y z (fractional)
Tl 0.000 0.000 0.000
In 0.500 0.500 0.500

22.
Compound: Tm3In
Source: Materials Project
Functional: PBE
Structure: optimized geometry

Output
Space-group type   No. 221
Energy relative to the elements   -0.250 eV per atom

abc: 4.789 4.789 4.789
angles: 90.00 90.00 90.00
Element x y z (fractional)
Tm 0.000 0.000 0.500
Tm 0.000 0.500 0.000
Tm 0.500 0.000 0.000
In 0.500 0.500 0.500